(1)
Compound: Li2UW2O10
Source: Materials Project
Functional: GGA+U
Structure: relaxed

Cell: 7.6291 7.8731 13.0027 Å, 89.94 89.79 89.52°
With the nearest neighbours (Å) after each atom.
Space group P1 (No. 1)
Unique sites:
Li  0.0000  0.0000  0.0000 (multiplicity 1)  4 O 1.93-2.12
Li  0.0090  0.1415  0.4985 (multiplicity 1)  4 O 1.93-2.00
Li  0.2617  0.3283  0.5170 (multiplicity 1)  4 O 1.97-2.13
Li  0.2933  0.8012  0.0083 (multiplicity 1)  2 O 1.90-1.94
Li  0.5121  0.5173  0.4991 (multiplicity 1)  4 O 1.94-1.99
Li  0.5489  0.9841  0.0117 (multiplicity 1)  3 O 1.86-1.89
Li  0.7600  0.3286  0.4933 (multiplicity 1)  4 O 1.98-2.11
Li  0.9878  0.6660  0.0079 (multiplicity 1)  4 O 1.90-2.09
U  0.2590  0.3281  0.9850 (multiplicity 1)  2 O 1.87-1.88
U  0.2612  0.8288  0.4848 (multiplicity 1)  2 O 1.87
U  0.7561  0.3351  0.0239 (multiplicity 1)  2 O 1.83-1.87
U  0.7598  0.8288  0.5229 (multiplicity 1)  2 O 1.87
W  0.0105  0.3041  0.7467 (multiplicity 1)  4 O 1.81-2.00
W  0.0098  0.3496  0.2609 (multiplicity 1)  4 O 1.81-2.00
W  0.0110  0.8041  0.7586 (multiplicity 1)  4 O 1.82-1.99
W  0.0127  0.8493  0.2471 (multiplicity 1)  4 O 1.84-2.00
W  0.5096  0.3529  0.7467 (multiplicity 1)  4 O 1.81-2.00
W  0.5103  0.8529  0.7599 (multiplicity 1)  4 O 1.80-1.99
W  0.5113  0.3084  0.2622 (multiplicity 1)  4 O 1.81-2.00
W  0.5122  0.8076  0.2482 (multiplicity 1)  4 O 1.81-2.01
O  0.0086  0.0701  0.7566 (multiplicity 1)  1 W 1.85
O  0.0104  0.5695  0.7526 (multiplicity 1)  1 W 1.85
O  0.0100  0.5841  0.2562 (multiplicity 1)  1 W 1.85
O  0.0117  0.0830  0.2503 (multiplicity 1)  1 W 1.84
O  0.0370  0.8289  0.6010 (multiplicity 1)  1 W 2.07, 1 U 2.28
O  0.0408  0.3301  0.1037 (multiplicity 1)  1 W 2.06, 1 U 2.27
O  0.0579  0.3091  0.6100 (multiplicity 1)  1 W 1.81, 2 Li 1.97-2.00
O  0.0654  0.8303  0.1096 (multiplicity 1)  1 W 1.84, 2 Li 1.95-2.01
O  0.2384  0.5643  0.9834 (multiplicity 1)  1 U 1.87, 1 Li 1.94
O  0.2491  0.0659  0.4821 (multiplicity 1)  1 U 1.87, 1 Li 1.93
O  0.2601  0.0896  0.9846 (multiplicity 1)  1 U 1.88
O  0.2601  0.3284  0.2747 (multiplicity 1)  2 W 1.92-1.93
O  0.2596  0.3288  0.7915 (multiplicity 1)  2 W 2.00
O  0.2599  0.8266  0.7623 (multiplicity 1)  2 W 1.91-1.92
O  0.2611  0.8285  0.2942 (multiplicity 1)  2 W 2.00-2.01
O  0.2716  0.5919  0.4822 (multiplicity 1)  1 U 1.87, 1 Li 1.94
O  0.4578  0.8400  0.1145 (multiplicity 1)  1 W 1.81, 2 Li 1.89-1.90
O  0.4626  0.3505  0.6101 (multiplicity 1)  1 W 1.81, 2 Li 1.97-1.99
O  0.4781  0.3223  0.1038 (multiplicity 1)  1 W 2.08, 1 U 2.28
O  0.4836  0.8282  0.5999 (multiplicity 1)  1 W 2.10, 2 U 2.27-2.33
O  0.5092  0.5743  0.2495 (multiplicity 1)  1 W 1.84
O  0.5096  0.0881  0.7490 (multiplicity 1)  1 W 1.86
O  0.5140  0.5870  0.7576 (multiplicity 1)  1 W 1.85
O  0.5159  0.0749  0.2608 (multiplicity 1)  1 W 1.84
O  0.5322  0.8428  0.8973 (multiplicity 1)  1 W 1.80, 1 Li 1.86
O  0.5367  0.3290  0.9061 (multiplicity 1)  1 W 2.09, 1 U 2.27
O  0.5416  0.8207  0.4053 (multiplicity 1)  1 W 2.06, 1 U 2.27
O  0.5590  0.3414  0.3973 (multiplicity 1)  1 W 1.81, 2 Li 1.95-1.98
O  0.7508  0.5915  0.5248 (multiplicity 1)  1 U 1.87, 1 Li 1.95
O  0.7604  0.3286  0.7352 (multiplicity 1)  2 W 1.92-1.93
O  0.7602  0.3307  0.2153 (multiplicity 1)  2 W 2.00
O  0.7602  0.8283  0.7184 (multiplicity 1)  2 W 1.99
O  0.7631  0.5675  0.0269 (multiplicity 1)  1 U 1.83, 1 Li 1.90
O  0.7627  0.8281  0.2346 (multiplicity 1)  2 W 1.92-1.93
O  0.7649  0.0975  0.0266 (multiplicity 1)  1 U 1.87, 2 Li 1.89-1.97
O  0.7706  0.0660  0.5246 (multiplicity 1)  1 U 1.87, 1 Li 1.95
O  0.9603  0.3182  0.3962 (multiplicity 1)  1 W 1.81, 2 Li 1.96-1.98
O  0.9802  0.3222  0.9063 (multiplicity 1)  1 W 2.09, 1 U 2.29
O  0.9813  0.8242  0.8969 (multiplicity 1)  1 W 1.82, 2 Li 1.91-1.93
O  0.9807  0.8362  0.4045 (multiplicity 1)  1 W 2.06, 1 U 2.28

Values from the calculation:
Calculated total energy (eV/cell): -456.70
Energy above the most stable polymorph in this dataset (eV/atom): 0.000



(2)
Compound: Li2UWO7
Source: Materials Project
Functional: GGA+U
Structure: relaxed

Cell: 7.4624 14.3288 10.3084 Å, 90.00 90.16 90.00°
With the nearest neighbours (Å) after each atom.
Space group Cc (No. 9)
Unique sites:
Li  0.0000  0.1080  0.0000 (multiplicity 4)  4 O 2.11-2.33
Li  0.2508  0.2134  0.1861 (multiplicity 4)  5 O 1.96-2.07
Li  0.3511  0.2648  0.7039 (multiplicity 4)  4 O 2.00-2.18
Li  0.4990  0.1091  0.0030 (multiplicity 4)  3 O 2.07-2.29
U  0.2487  0.0329  0.7330 (multiplicity 4)  2 O 1.86-1.88
U  0.2495  0.4924  0.2650 (multiplicity 4)  2 O 1.86-1.89
W  0.0006  0.1490  0.4745 (multiplicity 4)  4 O 1.80-1.98
W  0.4974  0.1474  0.4696 (multiplicity 4)  3 O 1.77-1.97
O  0.0301  0.4372  0.1390 (multiplicity 4)  1 W 2.14, 2 U 2.23-2.35
O  0.0307  0.0156  0.3713 (multiplicity 4)  1 W 2.20, 1 Li 2.22, 2 U 2.27-2.39
O  0.0410  0.2462  0.0633 (multiplicity 4)  1 W 1.83, 1 Li 2.04
O  0.0551  0.2008  0.3209 (multiplicity 4)  1 W 1.80, 1 Li 2.00
O  0.2476  0.0753  0.1297 (multiplicity 4)  1 U 1.88, 1 Li 2.06
O  0.2481  0.3889  0.3741 (multiplicity 4)  1 U 1.86
O  0.2491  0.1347  0.5367 (multiplicity 4)  2 W 1.97-1.99
O  0.2490  0.3811  0.9300 (multiplicity 4)  2 W 1.97-1.98
O  0.2537  0.1475  0.8180 (multiplicity 4)  1 U 1.86
O  0.2536  0.4000  0.6594 (multiplicity 4)  1 U 1.89
O  0.4334  0.2014  0.3222 (multiplicity 4)  1 W 1.77, 1 Li 1.96
O  0.4477  0.2451  0.0595 (multiplicity 4)  1 W 1.80
O  0.4665  0.0168  0.3732 (multiplicity 4)  1 W 2.13, 1 Li 2.26, 1 U 2.29
O  0.4668  0.4364  0.1369 (multiplicity 4)  1 W 2.09, 1 U 2.24

Values from the calculation:
Calculated total energy (eV/cell): -672.27



(3)
Compound: Li4V5O12
Source: Materials Project
Functional: GGA+U
Structure: relaxed

Cell: 9.0117 9.1936 15.5613 Å, 90.00 124.47 90.00°
With the nearest neighbours (Å) after each atom.
Space group P2_1/c (No. 14)
Unique sites:
Li  0.0068  0.2305  0.1906 (multiplicity 4)  4 O 2.00-2.11
Li  0.1529  0.6746  0.0302 (multiplicity 4)  3 O 1.98-2.20
Li  0.2558  0.5952  0.2740 (multiplicity 4)  3 O 1.91-2.01
Li  0.3691  0.0874  0.2975 (multiplicity 4)  4 O 2.02-2.05
V  0.0362  0.6152  0.6420 (multiplicity 4)  4 O 1.73-1.76
V  0.1361  0.0330  0.3813 (multiplicity 4)  6 O 2.06-2.13
V  0.2658  0.1182  0.6501 (multiplicity 4)  4 O 1.72-1.77
V  0.3579  0.0279  0.1074 (multiplicity 4)  6 O 1.95-2.15
V  0.4542  0.7494  0.4939 (multiplicity 4)  4 O 1.73-1.78
O  0.0313  0.7172  0.1951 (multiplicity 4)  1 V 1.76
O  0.1149  0.0188  0.2380 (multiplicity 4)  1 V 1.75
O  0.1153  0.0752  0.6844 (multiplicity 4)  1 V 1.76
O  0.1632  0.0634  0.5228 (multiplicity 4)  1 V 1.72
O  0.1783  0.0672  0.9604 (multiplicity 4)  1 V 1.73
O  0.1813  0.6352  0.6021 (multiplicity 4)  1 V 1.75
O  0.2323  0.6814  0.9349 (multiplicity 4)  1 V 1.78, 1 Li 1.98
O  0.2828  0.1910  0.1623 (multiplicity 4)  1 V 1.76
O  0.3833  0.1210  0.4317 (multiplicity 4)  1 V 1.73
O  0.4551  0.0051  0.7306 (multiplicity 4)  1 V 1.77
O  0.4676  0.6745  0.3948 (multiplicity 4)  1 V 1.75, 1 Li 1.91
O  0.4826  0.6256  0.5861 (multiplicity 4)  1 V 1.73

Values from the calculation:
Calculated total energy (eV/cell): -586.61



(4)
Compound: LiV6O13
Source: Materials Project
Functional: GGA+U
Structure: relaxed

Cell: 3.7200 11.4643 12.1375 Å, 110.41 90.17 99.33°
With the nearest neighbours (Å) after each atom.
Space group P-1 (No. 2)
Unique sites:
Li  0.0582  0.3700  0.2643 (multiplicity 2)  3 O 1.95-2.05
V  0.1751  0.4484  0.5740 (multiplicity 2)  3 O 1.78-1.95
V  0.1919  0.1280  0.2692 (multiplicity 2)  3 O 1.77-1.94
V  0.2131  0.4932  0.8885 (multiplicity 2)  2 O 1.79-1.80
V  0.2191  0.1453  0.9841 (multiplicity 2)  3 O 1.77-1.86
V  0.2822  0.8544  0.2163 (multiplicity 2)  3 O 1.80-2.00
V  0.3439  0.8966  0.5416 (multiplicity 2)  6 O 1.87-2.09
O  0.0452  0.6942  0.1786 (multiplicity 2)  1 V 1.80
O  0.0652  0.7105  0.4722 (multiplicity 2)  1 V 1.79
O  0.1293  0.0861  0.1000 (multiplicity 2)  2 V 1.77-1.94
O  0.1537  0.1026  0.8047 (multiplicity 2)  1 V 1.81
O  0.1678  0.1116  0.4312 (multiplicity 2)  3 V 1.87-2.04
O  0.2393  0.4938  0.4283 (multiplicity 2)  1 V 1.78
O  0.2456  0.4981  0.0704 (multiplicity 2)  1 V 1.79
O  0.2644  0.5037  0.7444 (multiplicity 2)  2 V 1.80-1.95
O  0.3093  0.8735  0.0585 (multiplicity 2)  3 V 1.86-2.00
O  0.3777  0.9184  0.3935 (multiplicity 2)  3 V 1.90-2.08
O  0.3779  0.9186  0.7173 (multiplicity 2)  1 V 1.79
O  0.4275  0.2850  0.3035 (multiplicity 2)  1 V 1.77, 1 Li 1.95
O  0.4592  0.3034  0.0506 (multiplicity 2)  1 V 1.78

Values from the calculation:
Calculated total energy (eV/cell): -284.66
Energy above the most stable polymorph in this dataset (eV/atom): 0.379



What did we get for volume? Answer: 781.0, 1102.2, 1062.9, 477.7 Å³/cell, in the order shown.
What did we get for ΔH_f (0 K)? Answer: -2627.7, -2779.8, -2426.9, -2036.2 meV per atom, in the order shown.